# Si2H2O3 | the Materials Project database | PBE-GGA | relaxed
data_Si2H2O3
_symmetry_space_group_name_H-M 'P 1'
_symmetry_Int_Tables_number 1
_cell_length_a 8.418
_cell_length_b 10.870
_cell_length_c 11.757
_cell_angle_alpha 85.13
_cell_angle_beta 109.37
_cell_angle_gamma 111.71
loop_
_symmetry_equiv_pos_as_xyz
'x,y,z'
loop_
_atom_site_label
_atom_site_type_symbol
_atom_site_fract_x
_atom_site_fract_y
_atom_site_fract_z
O1 O 0.440 0.743 0.496
O2 O 0.125 0.349 0.345
O3 O 0.005 0.976 0.242
O4 O 0.638 0.747 0.985
O5 O 0.461 0.800 0.768
O6 O 0.407 0.408 0.163
O7 O 0.889 0.677 0.964
O8 O 0.681 0.521 0.354
O9 O 0.907 0.665 0.655
O10 O 0.447 0.532 0.615
O11 O 0.207 0.160 0.456
O12 O 0.199 0.010 0.100
O13 O 0.055 0.323 0.026
O14 O 0.786 0.822 0.505
O15 O 0.081 0.598 0.869
O16 O 0.065 0.835 0.852
O17 O 0.899 0.407 0.151
O18 O 0.683 0.908 0.665
O19 O 0.286 0.227 0.989
O20 O 0.537 0.300 0.464
O21 O 0.856 0.100 0.350
O22 O 0.239 0.949 0.706
O23 O 0.717 0.454 0.747
O24 O 0.893 0.152 0.139
O25 O 0.250 0.567 0.246
O26 O 0.792 0.982 0.889
O27 O 0.620 0.297 0.268
O28 O 0.037 0.064 0.759
O29 O 0.362 0.041 0.361
O30 O 0.554 0.520 0.874
Si1 Si 0.161 0.914 0.245
Si2 Si 0.055 0.220 0.463
Si3 Si 0.257 0.356 0.026
Si4 Si 0.911 0.493 0.719
Si5 Si 0.383 0.107 0.028
Si6 Si 0.755 0.394 0.412
Si7 Si 0.515 0.405 0.770
Si8 Si 0.552 0.861 0.925
Si9 Si 0.128 0.734 0.972
Si10 Si 0.932 0.751 0.519
Si11 Si 0.803 0.994 0.210
Si12 Si 0.841 0.278 0.032
Si13 Si 0.071 0.495 0.298
Si14 Si 0.624 0.880 0.505
Si15 Si 0.200 0.986 0.828
Si16 Si 0.678 0.604 0.007
Si17 Si 0.801 0.063 0.747
Si18 Si 0.563 0.571 0.222
Si19 Si 0.297 0.617 0.545
Si20 Si 0.399 0.132 0.501
H1 H 0.490 0.366 0.477
H2 H 0.806 0.450 0.126
H3 H 0.360 0.833 0.731
H4 H 0.630 0.222 0.233
H5 H 0.570 0.584 0.615
H6 H 0.947 0.732 0.724
H7 H 0.114 0.056 0.076
H8 H 0.572 0.849 0.708
H9 H 0.308 0.018 0.660
H10 H 0.832 0.697 0.882
H11 H 0.178 0.560 0.898
H12 H 0.292 0.465 0.942
H13 H 0.764 0.049 0.390
H14 H 0.275 0.662 0.234
H15 H 0.869 0.929 0.918
H16 H 0.518 0.330 0.214
H17 H 0.218 0.338 0.317
H18 H 0.025 0.181 0.172
H19 H 0.460 0.001 0.388
H20 H 0.100 0.155 0.739
# MP2020-corrected energy	-6.13	eV per atom
# distance to the lowest polymorph of the same formula	0.5906	eV/atom
# crystal system	triclinic

***

# CoSbS | the Materials Project database | PBE-GGA | relaxed
data_CoSbS
_symmetry_space_group_name_H-M 'P 1'
_symmetry_Int_Tables_number 1
_cell_length_a 5.844
_cell_length_b 5.844
_cell_length_c 5.844
_cell_angle_alpha 90.00
_cell_angle_beta 90.00
_cell_angle_gamma 90.00
loop_
_symmetry_equiv_pos_as_xyz
'x,y,z'
loop_
_atom_site_label
_atom_site_type_symbol
_atom_site_fract_x
_atom_site_fract_y
_atom_site_fract_z
S1 S 0.877 0.377 0.123
S2 S 0.123 0.877 0.377
S3 S 0.623 0.623 0.623
S4 S 0.377 0.123 0.877
Sb1 Sb 0.628 0.872 0.128
Sb2 Sb 0.372 0.372 0.372
Sb3 Sb 0.128 0.628 0.872
Sb4 Sb 0.872 0.128 0.628
Co1 Co 0.520 0.480 0.980
Co2 Co 0.980 0.520 0.480
Co3 Co 0.020 0.020 0.020
Co4 Co 0.480 0.980 0.520
# MP2020-corrected energy	-5.65	eV per atom
# crystal system	cubic

***

# Pr2P3Au | the Materials Project database | PBE-GGA | relaxed
data_Pr2P3Au
_symmetry_space_group_name_H-M 'P 1'
_symmetry_Int_Tables_number 1
_cell_length_a 4.219
_cell_length_b 7.791
_cell_length_c 16.354
_cell_angle_alpha 90.00
_cell_angle_beta 90.00
_cell_angle_gamma 90.00
loop_
_symmetry_equiv_pos_as_xyz
'x,y,z'
loop_
_atom_site_label
_atom_site_type_symbol
_atom_site_fract_x
_atom_site_fract_y
_atom_site_fract_z
P1 P 0.750 0.797 0.201
P2 P 0.250 0.703 0.701
P3 P 0.750 0.297 0.299
P4 P 0.250 0.883 0.412
P5 P 0.750 0.117 0.588
P6 P 0.750 0.966 0.094
P7 P 0.250 0.203 0.799
P8 P 0.750 0.466 0.406
P9 P 0.750 0.617 0.912
P10 P 0.250 0.383 0.088
P11 P 0.250 0.034 0.906
P12 P 0.250 0.534 0.594
Pr1 Pr 0.750 0.400 0.703
Pr2 Pr 0.750 0.268 0.976
Pr3 Pr 0.250 0.600 0.297
Pr4 Pr 0.250 0.232 0.476
Pr5 Pr 0.750 0.900 0.797
Pr6 Pr 0.750 0.768 0.524
Pr7 Pr 0.250 0.732 0.024
Pr8 Pr 0.250 0.100 0.203
Au1 Au 0.250 0.511 0.849
Au2 Au 0.250 0.011 0.651
Au3 Au 0.750 0.489 0.151
Au4 Au 0.750 0.989 0.349
# crystal system	orthorhombic

***

Across the entries above, energy relative to the elements takes the values -1486, -524, -1024 meV/atom, respectively.